# 1
Compound: Pr10S19
Source: the Materials Project
Functional: r2SCAN
Structure: relaxed

POSCAR file:
```
Pr10S19
1.0
9.038 0.000 0.000
0.000 9.038 0.000
0.000 0.000 16.313
S Pr
38 20
Direct
0.451 0.152 0.426 S
0.699 0.030 0.251 S
0.250 0.250 0.250 S
0.470 0.699 0.249 S
0.750 0.250 0.066 S
0.970 0.199 0.751 S
0.852 0.947 0.438 S
0.111 0.580 0.250 S
0.389 0.920 0.250 S
0.947 0.648 0.062 S
0.030 0.801 0.249 S
0.199 0.530 0.749 S
0.053 0.352 0.938 S
0.648 0.553 0.438 S
0.250 0.750 0.934 S
0.447 0.148 0.938 S
0.920 0.111 0.250 S
0.301 0.970 0.749 S
0.801 0.470 0.251 S
0.530 0.301 0.751 S
0.148 0.053 0.562 S
0.580 0.389 0.250 S
0.750 0.250 0.566 S
0.352 0.447 0.562 S
0.348 0.451 0.074 S
0.080 0.889 0.750 S
0.420 0.611 0.750 S
0.750 0.750 0.750 S
0.848 0.951 0.926 S
0.553 0.852 0.062 S
0.152 0.049 0.074 S
0.889 0.420 0.750 S
0.611 0.080 0.750 S
0.951 0.652 0.574 S
0.549 0.848 0.574 S
0.049 0.348 0.426 S
0.652 0.549 0.926 S
0.250 0.750 0.434 S
0.056 0.354 0.602 Pr
0.541 0.848 0.877 Pr
0.041 0.348 0.123 Pr
0.354 0.444 0.898 Pr
0.146 0.056 0.898 Pr
0.444 0.146 0.602 Pr
0.750 0.250 0.386 Pr
0.250 0.750 0.114 Pr
0.854 0.944 0.102 Pr
0.250 0.750 0.614 Pr
0.959 0.652 0.877 Pr
0.459 0.152 0.123 Pr
0.750 0.250 0.886 Pr
0.348 0.459 0.377 Pr
0.944 0.646 0.398 Pr
0.152 0.041 0.377 Pr
0.556 0.854 0.398 Pr
0.848 0.959 0.623 Pr
0.646 0.556 0.102 Pr
0.652 0.541 0.623 Pr
```

Summary:
- Crystal system: tetragonal
- Space-group type: P4_2/n (86)
- Magnetic moment: 0.00 μB/cell



# 2
Compound: Pr3S4
Source: the Materials Project
Functional: r2SCAN
Structure: relaxed

POSCAR file:
```
Pr3S4
1.0
7.065 0.000 -2.498
-3.532 6.118 -2.498
0.000 0.000 7.494
S Pr
8 6
Direct
0.351 0.500 0.000 S
0.500 0.000 0.351 S
0.149 0.149 0.149 S
0.000 0.351 0.500 S
0.649 0.649 0.649 S
0.500 0.000 0.851 S
0.851 0.500 0.000 S
0.000 0.851 0.500 S
0.750 0.875 0.125 Pr
0.125 0.750 0.875 Pr
0.875 0.125 0.750 Pr
0.625 0.375 0.250 Pr
0.250 0.625 0.375 Pr
0.375 0.250 0.625 Pr
```

Summary:
- Crystal system: cubic
- Space-group type: I-43d (220)
- Magnetic moment: 0.00 μB/cell



# 3
Compound: Pr6Si4S17
Source: the Materials Project
Functional: r2SCAN
Structure: relaxed

POSCAR file:
```
Pr6Si4S17
1.0
-1.723 7.244 -5.074
0.948 -5.500 -8.360
-13.809 -3.487 -1.676
Pr Si S
12 8 34
Direct
0.107 0.385 0.817 Pr
0.917 0.920 0.834 Pr
0.331 0.412 0.342 Pr
0.893 0.615 0.183 Pr
0.371 0.066 0.675 Pr
0.083 0.080 0.166 Pr
0.552 0.261 0.999 Pr
0.629 0.934 0.325 Pr
0.669 0.588 0.658 Pr
0.980 0.231 0.540 Pr
0.448 0.739 0.001 Pr
0.020 0.769 0.460 Pr
0.751 0.500 0.416 Si
0.274 0.058 0.394 Si
0.231 0.438 0.099 Si
0.249 0.500 0.584 Si
0.726 0.942 0.606 Si
0.769 0.562 0.901 Si
0.251 0.060 0.923 Si
0.749 0.940 0.077 Si
0.815 0.019 0.468 S
0.990 0.627 0.886 S
0.247 0.613 0.167 S
0.258 0.887 0.852 S
0.016 0.494 0.623 S
0.634 0.716 0.834 S
0.753 0.387 0.833 S
0.660 0.999 0.944 S
0.043 0.148 0.952 S
0.984 0.506 0.377 S
0.010 0.373 0.114 S
0.519 0.847 0.603 S
0.340 0.001 0.056 S
0.321 0.481 0.957 S
0.185 0.981 0.532 S
0.355 0.530 0.706 S
0.069 0.144 0.722 S
0.931 0.856 0.278 S
0.383 0.212 0.839 S
0.700 0.088 0.696 S
0.300 0.912 0.304 S
0.704 0.691 0.459 S
0.296 0.309 0.541 S
0.617 0.788 0.161 S
0.679 0.519 0.043 S
0.645 0.470 0.294 S
0.481 0.153 0.397 S
0.107 0.200 0.346 S
0.957 0.852 0.048 S
0.308 0.633 0.462 S
0.742 0.113 0.148 S
0.692 0.367 0.538 S
0.366 0.284 0.166 S
0.893 0.800 0.654 S
```

Summary:
- Crystal system: triclinic
- Space-group type: P-1 (2)
- Magnetic moment: 0.00 μB/cell



Results for formation enthalpy at 0 K: -2.08 -2.31 -1.69 (in eV per atom, following the order of the records).
Results for density: 5.0 5.6 3.9 (in g/cm³, following the order of the records).